First-principles (GGA-PBE) data for a relaxed Tb2Ni2Sn crystal, as listed in the Materials Project database.

Calculated values
- Energy relative to the elements: -585.6 meV per atom
- Crystal system: orthorhombic
- Density: 9166 kg/m³

Lattice parameters (Å, degrees): 4.2446 5.7146 8.2748 90.00 90.00 90.00
Last column: nearest neighbours and their distance in Å.
Space group Immm (No. 71)
Symmetry-distinct sites (fractional):
1 Tb 0.0000 0.0000 0.2020 x4  6 Ni 2.95-2.98, 2 Sn 3.25
2 Ni 0.0000 0.2914 0.5000 x4  1 Ni 2.38
3 Sn 0.0000 0.5000 0.0000 x2  4 Ni 2.70